(1)
Below is a relaxed structure of Zr2Ti3Sn3, with properties calculated at the GGA-PBE level.

a = 8.338 Å, b = 8.338 Å, c = 5.706 Å
α = 90.00°, β = 90.00°, γ = 120.00°
Element x y z (fractional)
Zr1 0.333 0.667 0.000
Zr2 0.333 0.667 0.500
Zr3 0.667 0.333 0.000
Zr4 0.667 0.333 0.500
Ti1 0.000 0.260 0.250
Ti2 0.000 0.740 0.750
Ti3 0.260 0.000 0.250
Ti4 0.260 0.260 0.750
Ti5 0.740 0.000 0.750
Ti6 0.740 0.740 0.250
Sn1 0.000 0.376 0.750
Sn2 0.000 0.624 0.250
Sn3 0.376 0.000 0.750
Sn4 0.376 0.376 0.250
Sn5 0.624 0.000 0.250
Sn6 0.624 0.624 0.750

Calculated values
* magnetization: 0.001 μB per atom

---

(2)
Below is a relaxed structure of TlSn3, with properties calculated at the GGA-PBE level.

a = 6.726 Å, b = 6.726 Å, c = 5.892 Å
α = 90.00°, β = 90.00°, γ = 120.00°
Element x y z (fractional)
Tl1 0.333 0.667 0.250
Tl2 0.667 0.333 0.750
Sn1 0.160 0.321 0.750
Sn2 0.160 0.840 0.750
Sn3 0.321 0.160 0.250
Sn4 0.679 0.840 0.750
Sn5 0.840 0.160 0.250
Sn6 0.840 0.679 0.250

---

Number 1: energy relative to the elements -0.3238 eV per atom. Number 2: energy relative to the elements 0.0676 eV per atom.